1.
Sr10CuRu4O20 (GGA-PBE, relaxed); crystal system = tetragonal; magnetization = 0.145 μB/atom; E (MP2020) = -6.930 eV/atom; E_form = -2.443 eV/atom
1.0
-4.3537 4.3537 6.4081
4.3537 -4.3537 6.4081
4.3537 4.3537 -6.4081
O Sr Ru Cu
20 10 4 1
Direct
0.3047 0.6041 0.9087
0.2076 0.8963 0.1038
0.1623 0.1623 0.0000
0.3625 0.5626 0.6008
0.6041 0.6953 0.2994
0.1037 0.2076 0.3113
0.6375 0.4374 0.3992
0.4374 0.0382 0.7999
0.8963 0.7924 0.6887
0.0382 0.2383 0.6008
0.5000 0.0000 0.5000
0.9618 0.7617 0.3992
0.7617 0.3625 0.7999
0.2383 0.6375 0.2001
0.6953 0.3959 0.0913
0.0000 0.5000 0.5000
0.7924 0.1037 0.8962
0.3959 0.3047 0.7006
0.8377 0.8377 0.0000
0.5626 0.9618 0.2001
0.0488 0.4382 0.1953
0.3511 0.3511 0.0000
0.7571 0.1465 0.1953
0.1465 0.9512 0.3894
0.4382 0.2429 0.3894
0.6489 0.6489 0.0000
0.8535 0.0488 0.6106
0.5618 0.7571 0.6106
0.9512 0.5618 0.8047
0.2429 0.8535 0.8047
0.4039 0.8002 0.2041
0.8002 0.5961 0.3964
0.1998 0.4039 0.6036
0.5961 0.1998 0.7959
0.0000 0.0000 0.0000

=====

2.
SrCu3Ru4O12 (GGA-PBE, relaxed); crystal system = cubic; magnetization = 0.175 μB/atom; E (MP2020) = -6.993 eV/atom; E_form = -1.470 eV/atom
1.0
-3.7691 3.7691 3.7691
3.7691 -3.7691 3.7691
3.7691 3.7691 -3.7691
O Sr Ru Cu
12 1 4 3
Direct
0.8255 0.3105 0.1360
0.1745 0.3105 0.4849
0.6895 0.5151 0.8255
0.4849 0.1745 0.3105
0.8255 0.6895 0.5151
0.1745 0.6895 0.8640
0.6895 0.8640 0.1745
0.8640 0.1745 0.6895
0.3105 0.1360 0.8255
0.3105 0.4849 0.1745
0.1360 0.8255 0.3105
0.5151 0.8255 0.6895
0.0000 0.0000 0.0000
0.0000 0.5000 0.0000
0.5000 0.5000 0.5000
0.0000 0.0000 0.5000
0.5000 0.0000 0.0000
0.5000 0.5000 0.0000
0.5000 0.0000 0.5000
0.0000 0.5000 0.5000